# Dy2Te3 | Materials Project | GGA-PBE | optimized geometry
data_Dy2Te3
_chemical_formula_sum 'Dy32 Te48'
_cell_length_a 8.708
_cell_length_b 12.313
_cell_length_c 26.423
_cell_angle_alpha 90.00
_cell_angle_beta 90.00
_cell_angle_gamma 90.00
_space_group_name_H-M_alt 'F d d d'
_space_group_IT_number 70
loop_
_space_group_symop_operation_xyz
'x,y,z'
'-x,-y,-z'
'-x+1/4,-y+1/4,z'
'x+1/4,y+1/4,-z'
'x,-y+1/4,-z+1/4'
'-x,y+1/4,z+1/4'
'-x+1/4,y,-z+1/4'
'x+1/4,-y,z+1/4'
'x,y+1/2,z+1/2'
'-x,-y+1/2,-z+1/2'
'-x+1/4,-y+3/4,z+1/2'
'x+1/4,y+3/4,-z+1/2'
'x,-y+3/4,-z+3/4'
'-x,y+3/4,z+3/4'
'-x+1/4,y+1/2,-z+3/4'
'x+1/4,-y+1/2,z+3/4'
'x+1/2,y,z+1/2'
'-x+1/2,-y,-z+1/2'
'-x+3/4,-y+1/4,z+1/2'
'x+3/4,y+1/4,-z+1/2'
'x+1/2,-y+1/4,-z+3/4'
'-x+1/2,y+1/4,z+3/4'
'-x+3/4,y,-z+3/4'
'x+3/4,-y,z+3/4'
'x+1/2,y+1/2,z'
'-x+1/2,-y+1/2,-z'
'-x+3/4,-y+3/4,z'
'x+3/4,y+3/4,-z'
'x+1/2,-y+3/4,-z+1/4'
'-x+1/2,y+3/4,z+1/4'
'-x+3/4,y+1/2,-z+1/4'
'x+3/4,-y+1/2,z+1/4'
loop_
_atom_site_label
_atom_site_type_symbol
_atom_site_fract_x
_atom_site_fract_y
_atom_site_fract_z
Dy1 Dy 0.125 0.125 0.042
Dy2 Dy 0.125 0.125 0.375
Te1 Te 0.124 0.375 0.208
Te2 Te 0.124 0.375 0.875
# Total energy after the MP2020 corrections   -27.0 eV per formula unit
# Crystal system   orthorhombic
# Final energy   -410.97 eV per cell
# Density   6.64 g/cm³